Crystalline Ho2Ga9Co3 at its relaxed geometry, computed with PBE-GGA.

CIF file:
```
data_Ho2Ga9Co3
_chemical_formula_sum 'Ho4 Ga18 Co6'
_space_group_name_H-M_alt 'P 1'
_space_group_IT_number 1
_cell_length_a 7.354
_cell_length_b 7.354
_cell_length_c 9.421
_cell_angle_alpha 90.00
_cell_angle_beta 90.00
_cell_angle_gamma 60.27
loop_
_space_group_symop_operation_xyz
'x,y,z'
loop_
_atom_site_label
_atom_site_fract_x
_atom_site_fract_y
_atom_site_fract_z
_atom_site_occupancy
Ho1 0.003 0.669 0.750 1
Ho2 0.331 0.997 0.750 1
Ho3 0.669 0.003 0.250 1
Ho4 0.997 0.331 0.250 1
Ga1 0.000 0.334 0.572 1
Ga2 0.000 0.334 0.928 1
Ga3 0.000 0.666 0.072 1
Ga4 0.000 0.666 0.428 1
Ga5 0.121 0.879 0.250 1
Ga6 0.333 0.667 0.558 1
Ga7 0.333 0.667 0.942 1
Ga8 0.334 0.000 0.072 1
Ga9 0.334 0.000 0.428 1
Ga10 0.336 0.449 0.250 1
Ga11 0.449 0.336 0.750 1
Ga12 0.551 0.664 0.250 1
Ga13 0.664 0.551 0.750 1
Ga14 0.666 0.000 0.572 1
Ga15 0.666 0.000 0.928 1
Ga16 0.667 0.333 0.058 1
Ga17 0.667 0.333 0.442 1
Ga18 0.879 0.121 0.750 1
Co1 0.000 0.000 0.000 1
Co2 0.000 0.000 0.500 1
Co3 0.329 0.329 0.000 1
Co4 0.329 0.329 0.500 1
Co5 0.671 0.671 0.000 1
Co6 0.671 0.671 0.500 1
```

Results
Energy of formation   -655 kJ/mol of formula units
Symmetry   Cmcm
Electronic total energy   -64.533 eV per formula unit



Crystalline Ho8Ga3Co at its relaxed geometry, computed with PBE-GGA.

CIF file:
```
data_Ho8Ga3Co
_chemical_formula_sum 'Ho16 Ga6 Co2'
_space_group_name_H-M_alt 'P 1'
_space_group_IT_number 1
_cell_length_a 9.977
_cell_length_b 9.977
_cell_length_c 6.842
_cell_angle_alpha 90.00
_cell_angle_beta 90.00
_cell_angle_gamma 120.00
loop_
_space_group_symop_operation_xyz
'x,y,z'
loop_
_atom_site_label
_atom_site_fract_x
_atom_site_fract_y
_atom_site_fract_z
_atom_site_occupancy
Ho1 0.000 0.000 0.020 1
Ho2 0.000 0.000 0.520 1
Ho3 0.072 0.536 0.000 1
Ho4 0.173 0.346 0.300 1
Ho5 0.173 0.827 0.300 1
Ho6 0.333 0.667 0.621 1
Ho7 0.346 0.173 0.800 1
Ho8 0.464 0.536 0.000 1
Ho9 0.464 0.928 0.000 1
Ho10 0.536 0.072 0.500 1
Ho11 0.536 0.464 0.500 1
Ho12 0.654 0.827 0.300 1
Ho13 0.667 0.333 0.121 1
Ho14 0.827 0.173 0.800 1
Ho15 0.827 0.654 0.800 1
Ho16 0.928 0.464 0.500 1
Ga1 0.164 0.327 0.754 1
Ga2 0.164 0.836 0.754 1
Ga3 0.327 0.164 0.254 1
Ga4 0.673 0.836 0.754 1
Ga5 0.836 0.164 0.254 1
Ga6 0.836 0.673 0.254 1
Co1 0.333 0.667 0.235 1
Co2 0.667 0.333 0.735 1
```

Results
Energy of formation   -474 kJ/mol of formula units
Symmetry   P6_3mc
Electronic total energy   -57.767 eV per formula unit
M_tot   0.0 μB per formula unit



Crystalline Ho4Ga16Co3 at its relaxed geometry, computed with PBE-GGA.

CIF file:
```
data_Ho4Ga16Co3
_chemical_formula_sum 'Ho4 Ga16 Co3'
_space_group_name_H-M_alt 'P 1'
_space_group_IT_number 1
_cell_length_a 6.014
_cell_length_b 6.014
_cell_length_c 11.067
_cell_angle_alpha 90.00
_cell_angle_beta 90.00
_cell_angle_gamma 90.00
loop_
_space_group_symop_operation_xyz
'x,y,z'
loop_
_atom_site_label
_atom_site_fract_x
_atom_site_fract_y
_atom_site_fract_z
_atom_site_occupancy
Ho1 0.000 0.500 0.194 1
Ho2 0.000 0.500 0.806 1
Ho3 0.500 0.000 0.194 1
Ho4 0.500 0.000 0.806 1
Ga1 0.000 0.000 0.197 1
Ga2 0.000 0.000 0.803 1
Ga3 0.219 0.219 0.000 1
Ga4 0.219 0.781 0.000 1
Ga5 0.250 0.250 0.384 1
Ga6 0.250 0.250 0.616 1
Ga7 0.250 0.750 0.384 1
Ga8 0.250 0.750 0.616 1
Ga9 0.500 0.500 0.218 1
Ga10 0.500 0.500 0.782 1
Ga11 0.750 0.250 0.384 1
Ga12 0.750 0.250 0.616 1
Ga13 0.750 0.750 0.384 1
Ga14 0.750 0.750 0.616 1
Ga15 0.781 0.219 0.000 1
Ga16 0.781 0.781 0.000 1
Co1 0.000 0.500 0.500 1
Co2 0.500 0.000 0.500 1
Co3 0.500 0.500 0.000 1
```

Results
Energy of formation   -1120 kJ/mol of formula units
Symmetry   P4/mmm
Electronic total energy   -99.707 eV per formula unit



Crystalline InGaCoS4 at its relaxed geometry, computed with PBE-GGA.

CIF file:
```
data_InGaCoS4
_chemical_formula_sum 'In1 Ga1 Co1 S4'
_space_group_name_H-M_alt 'P 1'
_space_group_IT_number 1
_cell_length_a 3.693
_cell_length_b 3.693
_cell_length_c 12.311
_cell_angle_alpha 90.00
_cell_angle_beta 90.00
_cell_angle_gamma 120.00
loop_
_space_group_symop_operation_xyz
'x,y,z'
loop_
_atom_site_label
_atom_site_fract_x
_atom_site_fract_y
_atom_site_fract_z
_atom_site_occupancy
In1 0.000 0.000 0.000 1
Ga1 0.667 0.333 0.442 1
Co1 0.333 0.667 0.711 1
S1 0.000 0.000 0.359 1
S2 0.000 0.000 0.799 1
S3 0.667 0.333 0.105 1
S4 0.667 0.333 0.627 1
```

Results
Energy of formation   -504 kJ/mol of formula units
Symmetry   P3m1
Electronic total energy   -32.645 eV per formula unit
M_tot   1.0 μB per formula unit